[1]
PH4Br, optimized geometry, DFT PBE; E_tot = -3.600 eV per atom; energy of formation from the pure elements = -0.252 eV per atom; symmetry = No. 129
1.0
6.091 0.000 0.000
0.000 6.091 0.000
0.000 0.000 4.369
P H Br
2 8 2
Direct
0.250 0.750 0.000
0.750 0.250 0.000
0.061 0.750 0.190
0.250 0.561 0.810
0.250 0.939 0.810
0.439 0.750 0.190
0.561 0.250 0.810
0.750 0.061 0.190
0.750 0.439 0.190
0.939 0.250 0.810
0.250 0.250 0.405
0.750 0.750 0.595

=====

[2]
Lu2MgS4, optimized geometry, DFT PBE; E_tot = -5.579 eV per atom; energy of formation from the pure elements = -1.982 eV per atom; symmetry = No. 2
1.0
7.092 0.000 0.000
-0.002 8.194 0.000
-1.216 -2.075 12.688
Lu Mg S
8 4 16
Direct
0.132 0.446 0.302
0.132 0.955 0.305
0.258 0.126 0.000
0.364 0.300 0.697
0.636 0.700 0.303
0.742 0.874 0.000
0.868 0.045 0.695
0.868 0.554 0.698
0.251 0.624 0.997
0.367 0.800 0.700
0.633 0.200 0.300
0.749 0.376 0.003
0.099 0.404 0.103
0.102 0.900 0.105
0.192 0.539 0.628
0.193 0.025 0.627
0.311 0.718 0.375
0.323 0.219 0.373
0.395 0.846 0.892
0.402 0.351 0.895
0.598 0.649 0.105
0.605 0.154 0.108
0.677 0.781 0.627
0.689 0.282 0.625
0.807 0.975 0.373
0.808 0.461 0.372
0.898 0.100 0.895
0.901 0.596 0.897

=====

[3]
Cs2MoBr6, optimized geometry, DFT PBE; E_tot = -3.659 eV per atom; energy of formation from the pure elements = -1.519 eV per atom; symmetry = No. 225
1.0
0.000 5.543 5.543
5.543 0.000 5.543
5.543 5.543 0.000
Cs Mo Br
2 1 6
Direct
0.250 0.250 0.250
0.750 0.750 0.750
0.000 0.000 0.000
0.232 0.232 0.768
0.232 0.768 0.232
0.232 0.768 0.768
0.768 0.232 0.232
0.768 0.232 0.768
0.768 0.768 0.232

=====

[4]
CaLa2SbO6, optimized geometry, DFT PBE; E_tot = -7.228 eV per atom; energy of formation from the pure elements = -3.071 eV per atom; symmetry = No. 148
1.0
3.044 1.757 4.881
-3.044 1.757 4.881
0.000 -3.514 4.881
Ca La Sb O
1 2 1 6
Direct
0.000 0.000 0.000
0.269 0.269 0.269
0.731 0.731 0.731
0.500 0.500 0.500
0.147 0.376 0.713
0.287 0.853 0.624
0.376 0.713 0.147
0.624 0.287 0.853
0.713 0.147 0.376
0.853 0.624 0.287

=====

[5]
PmZnHg2, optimized geometry, DFT PBE; E_tot = -1.991 eV per atom; energy of formation from the pure elements = -0.337 eV per atom; symmetry = No. 225
1.0
0.000 3.605 3.605
3.605 0.000 3.605
3.605 3.605 0.000
Pm Zn Hg
1 1 2
Direct
0.000 0.000 0.000
0.500 0.500 0.500
0.250 0.250 0.250
0.750 0.750 0.750

=====

[6]
HoGa2Co3, optimized geometry, DFT PBE; E_tot = -5.707 eV per atom; energy of formation from the pure elements = -0.379 eV per atom; symmetry = No. 191
1.0
8.940 0.000 0.000
-4.470 7.743 0.000
0.000 0.000 3.841
Ho Ga Co
3 6 9
Direct
0.000 0.000 0.000
0.333 0.667 0.500
0.667 0.333 0.500
0.000 0.314 0.500
0.000 0.686 0.500
0.314 0.000 0.500
0.314 0.314 0.500
0.686 0.000 0.500
0.686 0.686 0.500
0.000 0.500 0.000
0.183 0.366 0.000
0.183 0.817 0.000
0.366 0.183 0.000
0.500 0.000 0.000
0.500 0.500 0.000
0.634 0.817 0.000
0.817 0.183 0.000
0.817 0.634 0.000

=====

- Number 4 is which compound?
  CaLa2SbO6

=====

- Number 3 is which compound?
  Cs2MoBr6

=====

- What is the energy of formation from the pure elements in the second record?
  -1.982 eV per atom

=====

- Number 5 is which compound?
  PmZnHg2